# 1
{"formula": "Ba3Li2Mo4P6Cl2O28", "functional": "PBE with a Hubbard U", "state": "optimized geometry", "lattice": [[9.334, 0.000, 0.000], [0.000, 15.931, 0.000], [0.000, 0.000, 18.402]], "species": ["O", "O", "O", "O", "O", "P", "O", "Cl", "O", "O", "O", "O", "O", "O", "Ba", "Mo", "P", "Ba", "P", "O", "O", "O", "Li", "O", "O", "Ba", "P", "Cl", "Mo", "O", "Cl", "O", "Ba", "O", "O", "O", "P", "O", "O", "Ba", "P", "P", "Mo", "Li", "Ba", "O", "O", "O", "O", "Mo", "P", "P", "O", "O", "O", "Mo", "Ba", "O", "O", "Ba", "O", "O", "O", "O", "O", "Mo", "Ba", "O", "O", "O", "Li", "P", "O", "P", "O", "O", "O", "Mo", "O", "O", "Cl", "Cl", "O", "O", "Cl", "O", "Mo", "O", "O", "O", "O", "Mo", "O", "O", "Cl", "O", "O", "O", "Ba", "P", "O", "P", "O", "Li", "O", "Mo", "O", "P", "O", "P", "O", "O", "O", "O", "O", "O", "P", "O", "O", "O", "P", "O", "O", "Mo", "Mo", "Ba", "Cl", "O", "O", "O", "O", "O", "O", "P", "O", "O", "P", "O", "Li", "Li", "P", "O", "Mo", "O", "O", "P", "O", "P", "O", "O", "O", "O", "O", "O", "Li", "Mo", "O", "O", "Mo", "P", "P", "O", "O", "Ba", "O", "O", "O", "O", "O", "O", "O", "Li", "O", "O", "Mo", "O", "O", "O", "O", "O"], "fractional_positions": [[0.618, 0.779, 0.678], [0.059, 0.169, 0.923], [0.860, 0.196, 0.668], [0.572, 0.164, 0.837], [0.555, 0.190, 0.324], [0.679, 0.008, 0.269], [0.799, 0.571, 0.999], [0.662, 0.494, 0.688], [0.791, 0.573, 0.476], [0.531, 0.533, 0.442], [0.372, 0.174, 0.927], [0.291, 0.927, 0.524], [0.055, 0.310, 0.676], [0.719, 0.061, 0.739], [0.076, 0.533, 0.065], [0.714, 0.193, 0.751], [0.964, 0.259, 0.374], [0.940, 0.490, 0.592], [0.688, 0.505, 0.442], [0.219, 0.439, 0.261], [0.521, 0.996, 0.252], [0.201, 0.071, 0.501], [0.579, 0.088, 0.133], [0.445, 0.690, 0.176], [0.125, 0.817, 0.077], [0.493, 0.947, 0.668], [0.038, 0.754, 0.875], [0.162, 0.006, 0.312], [0.717, 0.295, 0.499], [0.950, 0.816, 0.177], [0.838, 0.506, 0.188], [0.941, 0.669, 0.577], [0.507, 0.447, 0.832], [0.740, 0.188, 0.493], [0.450, 0.684, 0.823], [0.125, 0.817, 0.922], [0.321, 0.508, 0.231], [0.628, 0.674, 0.573], [0.244, 0.018, 0.633], [0.060, 0.990, 0.908], [0.464, 0.241, 0.626], [0.962, 0.254, 0.625], [0.217, 0.205, 0.501], [0.351, 0.948, 0.218], [0.424, 0.467, 0.565], [0.945, 0.706, 0.420], [0.934, 0.792, 0.666], [0.256, 0.982, 0.133], [0.198, 0.201, 0.232], [0.715, 0.295, 0.999], [0.538, 0.746, 0.125], [0.312, 0.005, 0.058], [0.928, 0.836, 0.337], [0.382, 0.279, 0.822], [0.625, 0.683, 0.078], [0.785, 0.705, 0.499], [0.924, 0.033, 0.435], [0.302, 0.799, 0.732], [0.050, 0.316, 0.323], [0.576, 0.967, 0.935], [0.365, 0.303, 0.669], [0.709, 0.427, 0.976], [0.441, 0.831, 0.423], [0.875, 0.317, 0.423], [0.694, 0.327, 0.260], [0.286, 0.693, 0.749], [0.440, 0.010, 0.408], [0.198, 0.309, 0.980], [0.306, 0.827, 0.240], [0.797, 0.980, 0.851], [0.421, 0.588, 0.367], [0.467, 0.271, 0.125], [0.209, 0.073, 0.024], [0.821, 0.992, 0.769], [0.479, 0.496, 0.248], [0.781, 0.939, 0.239], [0.382, 0.327, 0.177], [0.215, 0.280, 0.749], [0.872, 0.326, 0.073], [0.194, 0.173, 0.740], [0.338, 0.994, 0.812], [0.836, 0.004, 0.036], [0.360, 0.304, 0.332], [0.240, 0.312, 0.507], [0.164, 0.504, 0.464], [0.698, 0.191, 0.020], [0.715, 0.220, 0.251], [0.056, 0.196, 0.577], [0.979, 0.004, 0.752], [0.939, 0.699, 0.080], [0.561, 0.301, 0.580], [0.285, 0.720, 0.249], [0.128, 0.826, 0.427], [0.559, 0.331, 0.077], [0.664, 0.996, 0.536], [0.260, 0.688, 0.007], [0.135, 0.697, 0.169], [0.802, 0.701, 0.268], [0.007, 0.053, 0.168], [0.971, 0.274, 0.123], [0.770, 0.910, 0.726], [0.536, 0.741, 0.874], [0.556, 0.304, 0.423], [0.079, 0.412, 0.867], [0.756, 0.518, 0.867], [0.285, 0.795, 0.501], [0.730, 0.090, 0.226], [0.179, 0.492, 0.731], [0.066, 0.292, 0.834], [0.462, 0.246, 0.375], [0.944, 0.696, 0.923], [0.635, 0.803, 0.831], [0.118, 0.673, 0.677], [0.865, 0.197, 0.331], [0.299, 0.929, 0.001], [0.802, 0.809, 0.520], [0.967, 0.229, 0.875], [0.055, 0.206, 0.080], [0.203, 0.480, 0.649], [0.698, 0.299, 0.768], [0.029, 0.774, 0.377], [0.375, 0.183, 0.577], [0.302, 0.691, 0.480], [0.783, 0.705, 0.999], [0.214, 0.307, 0.249], [0.560, 0.510, 0.092], [0.336, 0.496, 0.964], [0.118, 0.721, 0.322], [0.230, 0.410, 0.774], [0.439, 0.801, 0.920], [0.445, 0.794, 0.580], [0.072, 0.336, 0.163], [0.061, 0.199, 0.420], [0.533, 0.771, 0.375], [0.868, 0.285, 0.921], [0.368, 0.215, 0.079], [0.033, 0.729, 0.625], [0.021, 0.504, 0.748], [0.649, 0.448, 0.282], [0.149, 0.052, 0.718], [0.529, 0.726, 0.623], [0.760, 0.812, 0.993], [0.283, 0.795, 0.001], [0.618, 0.827, 0.323], [0.969, 0.467, 0.942], [0.036, 0.759, 0.126], [0.744, 0.482, 0.367], [0.188, 0.995, 0.558], [0.281, 0.561, 0.761], [0.132, 0.785, 0.579], [0.640, 0.804, 0.168], [0.434, 0.708, 0.334], [0.428, 0.664, 0.663], [0.140, 0.696, 0.832], [0.921, 0.912, 0.633], [0.215, 0.205, 0.001], [0.270, 0.590, 0.274], [0.550, 0.184, 0.677], [0.786, 0.807, 0.251], [0.471, 0.226, 0.877], [0.812, 0.495, 0.942], [0.806, 0.673, 0.760], [0.701, 0.429, 0.499], [0.993, 0.553, 0.332], [0.297, 0.520, 0.149], [0.882, 0.173, 0.823], [0.031, 0.967, 0.558], [0.882, 0.221, 0.178], [0.625, 0.683, 0.923], [0.444, 0.804, 0.077], [0.945, 0.810, 0.824], [0.851, 0.552, 0.782], [0.375, 0.183, 0.422], [0.632, 0.715, 0.421], [0.785, 0.780, 0.751], [0.555, 0.294, 0.920], [0.703, 0.020, 0.351], [0.566, 0.208, 0.166], [0.469, 0.033, 0.058], [0.875, 0.317, 0.578]]}

***

# 2
{"formula": "Ba5MgMnV4Cl6O14", "functional": "PBE with a Hubbard U", "state": "optimized geometry", "lattice": [[5.819, 0.000, 0.000], [0.000, 13.547, 0.000], [0.000, 6.408, 14.686]], "species": ["Cl", "V", "Cl", "Ba", "O", "Ba", "Cl", "O", "Mn", "Ba", "Cl", "V", "O", "O", "Mn", "O", "Cl", "O", "O", "O", "O", "O", "O", "Ba", "Ba", "Cl", "O", "O", "O", "V", "Ba", "O", "O", "O", "O", "O", "Cl", "V", "Cl", "V", "O", "O", "O", "Cl", "V", "O", "O", "Cl", "Mg", "Cl", "O", "O", "Cl", "Ba", "Ba", "O", "V", "Ba", "O", "Mg", "V", "Ba"], "fractional_positions": [[0.232, 0.498, 0.864], [0.248, 0.049, 0.595], [0.244, 0.352, 0.487], [0.254, 0.500, 0.250], [0.015, 0.712, 0.177], [0.748, 0.764, 0.294], [0.756, 0.355, 0.612], [0.748, 0.124, 0.972], [0.000, 0.500, 0.500], [0.251, 0.229, 0.978], [0.756, 0.645, 0.888], [0.752, 0.951, 0.405], [0.995, 0.084, 0.141], [0.516, 0.709, 0.678], [0.000, 0.500, 0.000], [0.750, 0.916, 0.118], [0.756, 0.648, 0.513], [0.005, 0.084, 0.641], [0.253, 0.131, 0.284], [0.484, 0.709, 0.178], [0.512, 0.915, 0.359], [0.250, 0.916, 0.618], [0.253, 0.869, 0.216], [0.748, 0.236, 0.206], [0.746, 0.500, 0.750], [0.768, 0.498, 0.364], [0.250, 0.084, 0.882], [0.747, 0.869, 0.716], [0.512, 0.085, 0.141], [0.251, 0.205, 0.349], [0.252, 0.236, 0.706], [0.488, 0.915, 0.859], [0.252, 0.876, 0.028], [0.747, 0.131, 0.784], [0.484, 0.291, 0.322], [0.748, 0.876, 0.528], [0.756, 0.352, 0.987], [0.251, 0.795, 0.151], [0.232, 0.502, 0.636], [0.248, 0.951, 0.905], [0.015, 0.288, 0.323], [0.488, 0.085, 0.641], [0.750, 0.084, 0.382], [0.768, 0.502, 0.136], [0.749, 0.205, 0.849], [0.252, 0.124, 0.472], [0.985, 0.712, 0.677], [0.244, 0.645, 0.388], [0.750, 0.000, 0.750], [0.244, 0.355, 0.112], [0.995, 0.916, 0.359], [0.516, 0.291, 0.822], [0.244, 0.648, 0.013], [0.251, 0.771, 0.522], [0.749, 0.771, 0.022], [0.005, 0.916, 0.859], [0.749, 0.795, 0.651], [0.252, 0.764, 0.794], [0.985, 0.288, 0.823], [0.250, 0.000, 0.250], [0.752, 0.049, 0.095], [0.749, 0.229, 0.478]]}

***

# 3
{"formula": "Ba12MnRu5Cl4O24", "functional": "PBE with a Hubbard U", "state": "optimized geometry", "lattice": [[-1.896, -2.009, -5.233], [1.660, -3.814, 4.209], [-28.208, -0.703, 10.488]], "species": ["Ba", "O", "O", "Cl", "Ba", "O", "O", "Ba", "Ru", "Ba", "Ba", "Cl", "Ru", "O", "Ba", "Ba", "O", "O", "O", "O", "O", "O", "O", "Cl", "O", "O", "Mn", "Cl", "O", "Ba", "Ba", "Ba", "O", "O", "O", "O", "Ba", "O", "O", "Ru", "Ru", "O", "Ba", "Ru", "O", "O"], "fractional_positions": [[0.667, 0.333, 0.318], [0.841, 0.159, 0.880], [0.309, 0.155, 0.041], [0.333, 0.667, 0.289], [0.667, 0.333, 0.605], [0.839, 0.161, 0.380], [0.682, 0.841, 0.120], [0.333, 0.667, 0.682], [0.000, 0.000, 0.000], [0.333, 0.667, 0.182], [0.667, 0.333, 0.107], [0.333, 0.667, 0.789], [0.000, 0.000, 0.088], [0.149, 0.851, 0.460], [0.333, 0.667, 0.893], [0.667, 0.333, 0.818], [0.149, 0.297, 0.460], [0.703, 0.851, 0.460], [0.159, 0.841, 0.120], [0.297, 0.149, 0.540], [0.845, 0.691, 0.041], [0.161, 0.839, 0.620], [0.845, 0.155, 0.041], [0.667, 0.333, 0.211], [0.321, 0.161, 0.380], [0.161, 0.321, 0.620], [0.000, 0.000, 0.500], [0.667, 0.333, 0.711], [0.851, 0.149, 0.540], [0.667, 0.333, 0.462], [0.333, 0.667, 0.538], [0.667, 0.333, 0.960], [0.318, 0.159, 0.880], [0.839, 0.679, 0.380], [0.851, 0.703, 0.540], [0.691, 0.845, 0.959], [0.333, 0.667, 0.395], [0.841, 0.682, 0.880], [0.679, 0.839, 0.620], [0.000, 0.000, 0.589], [0.000, 0.000, 0.411], [0.155, 0.309, 0.959], [0.333, 0.667, 0.040], [0.000, 0.000, 0.912], [0.159, 0.318, 0.120], [0.155, 0.845, 0.959]]}

***

# 4
{"formula": "Ba2MnSi2ClO7", "functional": "PBE with a Hubbard U", "state": "optimized geometry", "lattice": [[-7.419, -2.965, 3.219], [-2.707, 8.087, 1.210], [-4.402, 0.039, -10.110]], "species": ["O", "Ba", "Mn", "Si", "Ba", "O", "Cl", "O", "Ba", "O", "O", "Si", "O", "O", "O", "O", "O", "O", "Si", "Si", "Ba", "Mn", "O", "Mn", "Cl", "O", "Si", "O", "Si", "O", "Ba", "Si", "Ba", "O", "O", "O", "Ba", "Cl", "O", "Ba", "O", "O", "O", "O", "Mn", "O", "Cl", "O", "Si", "O", "O", "O"], "fractional_positions": [[0.629, 0.129, 0.205], [0.329, 0.171, 0.590], [0.500, 0.500, 0.398], [0.129, 0.371, 0.851], [0.829, 0.329, 0.590], [0.292, 0.421, 0.919], [0.000, 0.000, 0.665], [0.000, 0.500, 0.906], [0.671, 0.829, 0.090], [0.629, 0.129, 0.705], [0.792, 0.079, 0.919], [0.871, 0.629, 0.351], [0.500, 0.000, 0.906], [0.708, 0.579, 0.919], [0.000, 0.500, 0.406], [0.921, 0.792, 0.419], [0.421, 0.708, 0.419], [0.708, 0.579, 0.419], [0.871, 0.629, 0.851], [0.129, 0.371, 0.351], [0.329, 0.171, 0.090], [0.000, 0.000, 0.398], [0.208, 0.921, 0.919], [0.500, 0.500, 0.898], [0.500, 0.500, 0.665], [0.579, 0.292, 0.419], [0.371, 0.871, 0.351], [0.500, 0.000, 0.406], [0.629, 0.129, 0.351], [0.792, 0.079, 0.419], [0.171, 0.671, 0.090], [0.371, 0.871, 0.851], [0.829, 0.329, 0.090], [0.920, 0.792, 0.919], [0.292, 0.421, 0.419], [0.421, 0.708, 0.919], [0.671, 0.829, 0.590], [0.500, 0.500, 0.165], [0.079, 0.208, 0.419], [0.171, 0.671, 0.590], [0.871, 0.629, 0.205], [0.871, 0.629, 0.705], [0.371, 0.871, 0.705], [0.579, 0.292, 0.919], [0.000, 0.000, 0.898], [0.129, 0.371, 0.705], [0.000, 0.000, 0.165], [0.208, 0.921, 0.419], [0.629, 0.129, 0.851], [0.079, 0.208, 0.919], [0.129, 0.371, 0.205], [0.371, 0.871, 0.205]]}

***

# 5
{"formula": "Ba5V3ClO12", "functional": "PBE with a Hubbard U", "state": "optimized geometry", "lattice": [[5.372, -9.304, 0.000], [5.372, 9.304, 0.000], [0.000, 0.000, 7.883]], "species": ["V", "V", "O", "Cl", "O", "O", "O", "O", "V", "V", "Ba", "O", "O", "O", "O", "Ba", "O", "O", "O", "O", "Ba", "Ba", "O", "Ba", "O", "Ba", "Ba", "O", "Ba", "V", "Ba", "O", "O", "O", "V", "Cl", "O", "O", "O", "Ba", "O", "O"], "fractional_positions": [[0.404, 0.032, 0.250], [0.372, 0.404, 0.750], [0.907, 0.260, 0.074], [0.000, 0.000, 0.000], [0.352, 0.093, 0.074], [0.093, 0.740, 0.926], [0.877, 0.470, 0.250], [0.845, 0.517, 0.750], [0.596, 0.968, 0.750], [0.032, 0.628, 0.750], [0.753, 0.745, 0.750], [0.155, 0.483, 0.250], [0.329, 0.845, 0.250], [0.407, 0.877, 0.750], [0.260, 0.352, 0.574], [0.667, 0.333, 0.500], [0.593, 0.123, 0.250], [0.740, 0.648, 0.074], [0.530, 0.407, 0.250], [0.123, 0.530, 0.750], [0.667, 0.333, 0.000], [0.009, 0.753, 0.250], [0.648, 0.907, 0.574], [0.333, 0.667, 0.000], [0.907, 0.260, 0.426], [0.745, 0.991, 0.250], [0.333, 0.667, 0.500], [0.093, 0.740, 0.574], [0.991, 0.247, 0.750], [0.628, 0.596, 0.250], [0.247, 0.255, 0.250], [0.648, 0.907, 0.926], [0.671, 0.155, 0.750], [0.517, 0.671, 0.250], [0.968, 0.372, 0.250], [0.000, 0.000, 0.500], [0.470, 0.593, 0.750], [0.352, 0.093, 0.426], [0.740, 0.648, 0.426], [0.255, 0.009, 0.750], [0.260, 0.352, 0.926], [0.483, 0.329, 0.750]]}

***

# 6
{"formula": "BaVClO3", "functional": "PBE with a Hubbard U", "state": "optimized geometry", "lattice": [[5.349, 0.000, 0.000], [0.000, 7.544, 0.000], [0.000, 0.000, 10.653]], "species": ["V", "O", "O", "O", "O", "O", "O", "O", "Ba", "V", "O", "O", "Cl", "Ba", "Cl", "Cl", "O", "Ba", "Cl", "O", "Ba", "V", "O", "V"], "fractional_positions": [[0.750, 0.052, 0.461], [0.006, 0.906, 0.407], [0.750, 0.282, 0.859], [0.494, 0.906, 0.407], [0.250, 0.782, 0.641], [0.994, 0.094, 0.593], [0.506, 0.406, 0.093], [0.494, 0.594, 0.907], [0.750, 0.902, 0.807], [0.750, 0.448, 0.961], [0.250, 0.718, 0.141], [0.994, 0.406, 0.093], [0.750, 0.926, 0.106], [0.250, 0.098, 0.193], [0.250, 0.074, 0.894], [0.250, 0.426, 0.394], [0.006, 0.594, 0.907], [0.750, 0.598, 0.307], [0.750, 0.574, 0.606], [0.750, 0.218, 0.359], [0.250, 0.402, 0.693], [0.250, 0.552, 0.039], [0.506, 0.094, 0.593], [0.250, 0.948, 0.539]]}

***

Number 1: raw total energy -0.5118 Ry per atom, DFT formation energy -117.72 eV per formula unit. Number 2: raw total energy -0.4776 Ry per atom, DFT formation energy -82.46 eV per formula unit. Number 3: raw total energy -0.4758 Ry per atom, DFT formation energy -111.25 eV per formula unit. Number 4: raw total energy -0.5271 Ry per atom, DFT formation energy -39.37 eV per formula unit. Number 5: raw total energy -0.5182 Ry per atom, DFT formation energy -63.34 eV per formula unit. Number 6: raw total energy -0.4893 Ry per atom, DFT formation energy -16.01 eV per formula unit.